Model a:
Computed, not measured: a relaxed structure of CaNi4O8 at the PBE with a Hubbard U level of DFT.

```
CaNi4O8
1.0
-3.893 -0.614 -4.139
7.210 0.003 -6.783
-2.735 -5.863 -0.503
Ca Ni O
2 8 16
Cartesian
1.120 -3.390 -8.443
-0.539 -3.084 -2.982
-1.077 -6.168 -5.964
3.317 -0.611 -10.922
-0.248 -6.321 -8.694
-1.118 -0.460 -4.800
3.605 0.002 -3.392
0.829 -0.153 -2.730
1.699 -6.014 -6.625
5.263 -0.304 -8.853
2.000 -4.908 -5.100
-3.551 -5.217 -3.777
4.133 -1.257 -7.647
-1.419 -1.566 -6.325
2.722 -5.024 -7.865
-2.830 -5.333 -6.542
2.110 -1.611 -9.638
0.452 -1.306 -4.177
3.411 -1.141 -4.882
-2.141 -1.450 -3.560
1.336 -1.468 -7.088
-0.323 -1.163 -1.627
0.904 -5.311 -9.798
-0.754 -5.005 -4.337
0.130 -5.168 -7.247
-1.529 -4.863 -1.786
```



Model b:
CaNi4O8 | the Materials Project | PBE with a Hubbard U | relaxed; M_tot = 2.00 μB/f.u.
1.0
6.436 -1.496 0.000
6.436 1.496 0.000
-5.965 0.000 6.731
Ca Ni O
1 4 8
Cartesian
0.000 0.000 0.000
-0.684 0.000 3.392
3.490 0.000 1.450
3.884 0.000 5.780
8.111 0.000 3.805
-3.657 0.000 5.284
-1.434 0.000 6.576
0.706 0.000 4.734
2.533 0.000 3.014
4.985 0.000 4.282
6.696 0.000 2.484
8.863 0.000 0.684
11.025 0.000 1.962



The winner here is model a, beating the second structure by 10.1 kJ/mol of atoms.



Model a:
MgVP2O7 | the Materials Project | PBE with a Hubbard U | relaxed; M_tot = 3.00 μB/f.u.
1.0
3.290 -4.261 0.000
3.290 4.261 0.000
-0.946 0.000 4.457
Mg V P O
1 1 2 7
Cartesian
0.000 0.000 0.000
3.290 -1.070 0.000
1.288 1.582 2.639
4.346 1.582 1.818
0.992 0.322 3.466
2.817 1.477 2.229
1.233 -1.381 1.010
1.786 -2.684 3.169
4.642 0.322 0.991
3.847 -2.684 1.289
4.400 -1.381 3.448



Model b:
MgVP2O7 | the Materials Project | PBE with a Hubbard U | relaxed; M_tot = 0.00 μB/f.u.
1.0
6.566 -0.035 0.618
1.176 5.816 9.423
-0.482 -5.792 3.977
Mg V P O
4 4 8 28
Cartesian
5.367 -4.079 6.223
6.196 1.725 8.946
1.893 4.068 7.797
1.064 -1.736 5.073
5.097 0.641 12.580
2.510 -0.640 8.140
4.752 0.628 5.879
2.162 -0.652 1.439
1.507 1.337 5.801
1.854 1.348 12.501
5.753 -1.347 8.218
5.407 -1.360 1.518
4.857 3.709 6.763
4.028 -2.095 4.040
2.403 -3.719 7.256
3.233 2.084 9.979
5.160 -2.333 9.326
4.813 -2.346 2.626
2.100 2.323 4.693
2.447 2.335 11.393
0.393 0.437 5.222
0.741 0.449 11.923
6.867 -0.448 8.796
6.520 -0.460 2.096
4.307 1.576 3.641
4.654 1.588 10.341
2.953 -1.587 10.379
2.607 -1.599 3.678
2.399 -2.287 6.682
3.228 3.517 9.406
4.861 2.276 7.337
4.032 -3.528 4.614
6.201 -2.311 7.111
7.030 3.493 9.834
1.059 2.300 6.908
0.230 -3.504 4.185
4.609 -0.423 7.785
4.263 -0.435 1.086
2.650 0.412 6.233
2.998 0.424 12.934
2.022 1.121 2.494
2.369 1.133 9.194
5.238 -1.132 11.525
4.891 -1.144 4.824



The winner here is model a, beating the second structure by 1.9 kJ/mol of atoms.



Model a:
Mn5SnO8 | the Materials Project | PBE with a Hubbard U | relaxed; M_tot = 0.00 μB/f.u.
1.0
-6.108 -0.001 0.000
0.001 6.108 0.000
0.000 0.000 -9.293
Mn Sn O
10 2 16
Cartesian
0.000 3.054 -6.974
-6.107 1.470 -3.516
-3.053 4.533 -8.163
0.001 4.637 -3.516
-3.054 1.574 -8.163
-3.053 6.107 -2.319
-4.533 3.053 -1.130
-1.470 6.107 -5.777
-1.574 3.054 -1.130
-4.636 -0.001 -5.777
0.001 6.107 0.000
-3.053 3.053 -4.647
-4.710 3.054 -3.466
-1.649 0.000 -8.116
-1.396 3.053 -3.466
-4.458 6.107 -8.116
0.000 1.648 -1.177
-3.053 4.710 -5.828
-6.107 4.458 -1.177
-3.053 1.396 -5.828
-4.715 -0.001 -3.548
-1.658 3.054 -8.187
-1.392 6.107 -3.548
-4.449 3.053 -8.187
-3.054 1.658 -1.106
0.000 4.715 -5.746
-3.053 4.449 -1.106
0.000 1.393 -5.746



Model b:
Mn5SnO8 | the Materials Project | PBE with a Hubbard U | relaxed; M_tot = 0.00 μB/f.u.
1.0
6.164 0.000 0.000
3.016 5.526 0.000
3.010 -1.182 10.169
Mn Sn O
10 2 16
Cartesian
0.000 0.000 0.000
1.449 1.034 2.461
10.632 1.504 10.149
4.465 4.806 5.086
4.471 3.166 7.561
3.019 2.097 5.063
4.596 2.865 1.882
4.594 -0.574 6.987
3.009 0.052 0.018
6.003 2.119 5.087
7.479 4.747 3.164
7.489 1.421 8.238
5.843 2.432 8.922
2.871 1.997 1.133
2.921 0.271 3.850
5.883 3.938 6.469
4.649 -0.398 9.042
4.654 2.922 3.955
4.673 4.803 1.150
4.657 1.371 6.270
7.497 4.735 1.129
7.490 -0.461 8.963
7.483 2.856 3.897
7.491 1.295 6.230
6.112 0.154 3.774
9.237 2.313 8.837
6.242 1.904 1.074
9.251 3.842 6.404



The winner here is model b, beating the second structure by 1.1 kJ/mol of atoms.



Model a:
Li2VP2O7 | the Materials Project | PBE with a Hubbard U | relaxed; M_tot = 0.00 μB/f.u.
1.0
-1.906 6.461 0.057
-1.052 -3.611 8.062
10.717 -0.065 -0.273
Li V P O
8 4 8 28
Cartesian
-1.409 1.665 7.948
3.950 1.634 7.811
3.809 1.153 0.034
9.168 1.119 -0.101
0.547 -1.272 5.989
5.906 -1.305 5.853
1.854 4.090 1.993
7.212 4.058 1.857
4.317 2.486 2.840
8.802 0.265 4.870
-1.045 2.519 2.976
3.446 0.299 5.005
0.543 -0.493 3.072
5.902 -0.527 2.936
1.857 3.311 4.910
7.215 3.279 4.774
1.036 1.348 7.050
6.394 1.316 6.914
1.365 1.469 0.932
6.723 1.436 0.795
-1.735 4.534 2.773
3.624 4.501 2.636
4.136 -1.717 5.209
9.494 -1.749 5.073
-0.703 0.391 3.303
4.656 0.358 3.166
3.103 2.427 4.680
8.462 2.395 4.544
-0.133 0.613 6.397
5.226 0.580 6.261
2.533 2.205 1.586
7.891 2.172 1.449
0.017 2.192 1.058
5.376 2.159 0.921
2.383 0.625 6.924
7.742 0.593 6.788
0.690 -2.545 7.566
6.048 -2.579 7.430
1.710 5.363 0.416
7.069 5.331 0.280
0.832 3.207 3.795
6.191 3.175 3.658
1.569 -0.390 4.187
6.927 -0.423 4.052
1.192 2.809 6.327
6.550 2.776 6.190
1.208 0.009 1.655
6.567 -0.024 1.519



Model b:
Li2VP2O7 | the Materials Project | PBE with a Hubbard U | relaxed; M_tot = 3.00 μB/f.u.
1.0
5.161 0.000 0.000
0.000 13.715 0.000
-4.927 0.000 7.972
Li V P O
8 4 8 28
Cartesian
-1.555 1.419 2.885
-4.018 5.439 6.870
1.407 2.687 1.330
-1.057 4.171 5.316
1.291 9.544 2.656
-1.173 11.028 6.642
4.252 8.276 1.101
1.788 12.296 5.087
-3.480 2.194 5.852
-1.016 4.663 1.866
1.250 9.051 6.105
3.713 11.521 2.120
-1.276 9.291 4.236
1.188 11.281 0.250
-1.356 7.219 6.176
1.107 13.353 2.190
-0.874 0.362 5.782
1.590 6.496 1.796
-0.954 2.434 7.722
1.509 4.423 3.736
-0.640 2.600 1.180
-3.103 4.258 5.166
-2.187 9.993 5.259
0.277 10.580 1.273
-2.861 7.240 6.515
-0.397 13.332 2.529
-1.669 1.411 4.968
0.795 5.446 0.982
-1.289 7.717 4.589
1.175 12.855 0.603
0.939 7.860 1.784
-1.525 12.712 5.770
-2.418 2.896 7.614
0.046 3.961 3.628
0.188 9.754 4.344
2.651 10.818 0.358
1.758 1.002 2.202
-0.705 5.855 6.188
-0.941 0.860 7.368
1.522 5.998 3.382
-0.561 8.269 6.989
1.903 12.304 3.004
0.631 0.383 5.443
3.094 6.475 1.457
-0.043 3.135 6.699
2.420 3.722 2.713
3.337 9.457 2.806
0.873 11.115 6.791



The winner here is model a, beating the second structure by 1.0 kJ/mol of atoms.